The following is a r2SCAN calculation of crystalline Hf2P2O9 at its relaxed geometry, from the Materials Project database.

Cell lengths 7.5586, 7.5586, 10.0098 Å; angles 126.79, 126.79, 51.49 degrees
Fractional positions:
Hf  0.0574  0.0574  0.4033
Hf  0.3160  0.3160  0.8649
Hf  0.6840  0.6840  0.1351
Hf  0.9426  0.9426  0.5967
P  0.1699  0.1699  0.0434
P  0.4079  0.4079  0.6632
P  0.5921  0.5921  0.3368
P  0.8301  0.8301  0.9566
O  0.0055  0.6249  0.8571
O  0.0325  0.0325  0.8565
O  0.1146  0.1146  0.6569
O  0.2413  0.6204  0.6029
O  0.2666  0.2666  0.5952
O  0.2735  0.2735  0.0255
O  0.3751  0.9945  0.1429
O  0.3796  0.7587  0.3971
O  0.4849  0.4849  0.8668
O  0.5151  0.5151  0.1332
O  0.6204  0.2413  0.6029
O  0.6249  0.0055  0.8571
O  0.7265  0.7265  0.9745
O  0.7334  0.7334  0.4048
O  0.7587  0.3796  0.3971
O  0.8854  0.8854  0.3431
O  0.9675  0.9675  0.1435
O  0.9945  0.3751  0.1429

## Properties
The calculation puts the energy above the most stable polymorph in this dataset at 0 meV/atom.

The following is a r2SCAN calculation of crystalline Hf2P2O9 at its relaxed geometry, from the Materials Project database.

Cell lengths 5.4219, 5.4219, 11.8185 Å; angles 90.00, 90.00, 105.36 degrees
Fractional positions:
Hf  0.2060  0.7940  0.9379
Hf  0.2940  0.7060  0.4379
Hf  0.7060  0.2940  0.5621
Hf  0.7940  0.2060  0.0621
P  0.1063  0.8937  0.6475
P  0.3937  0.6063  0.1475
P  0.6063  0.3937  0.8525
P  0.8937  0.1063  0.3525
O  0.0000  0.0000  0.0000
O  0.0146  0.6324  0.5849
O  0.0645  0.9355  0.3769
O  0.1324  0.5146  0.0849
O  0.1379  0.8621  0.7724
O  0.3621  0.6379  0.2724
O  0.3676  0.9854  0.5849
O  0.4355  0.5645  0.8769
O  0.4854  0.8676  0.0849
O  0.5000  0.5000  0.5000
O  0.5146  0.1324  0.9151
O  0.5645  0.4355  0.1231
O  0.6324  0.0146  0.4151
O  0.6379  0.3621  0.7276
O  0.8621  0.1379  0.2276
O  0.8676  0.4854  0.9151
O  0.9355  0.0645  0.6231
O  0.9854  0.3676  0.4151

## Properties
The calculation puts the energy above the most stable polymorph in this dataset at 6 meV/atom.

The following is a r2SCAN calculation of crystalline HfPbO3 at its relaxed geometry, from the Materials Project database.

Cell lengths 5.7931, 8.1963, 5.7971 Å; angles 90.00, 90.00, 90.00 degrees
Fractional positions:
Hf  0.0000  0.0000  0.0000
Hf  0.0000  0.5000  0.0000
Hf  0.5000  0.0000  0.5000
Hf  0.5000  0.5000  0.5000
Pb  0.0106  0.2500  0.4953
Pb  0.4894  0.7500  0.9953
Pb  0.5106  0.2500  0.0047
Pb  0.9894  0.7500  0.5047
O  0.0059  0.7500  0.0598
O  0.2197  0.5315  0.7197
O  0.2197  0.9685  0.7197
O  0.2803  0.0315  0.2197
O  0.2803  0.4685  0.2197
O  0.4941  0.2500  0.5598
O  0.5059  0.7500  0.4402
O  0.7197  0.5315  0.7803
O  0.7197  0.9685  0.7803
O  0.7803  0.0315  0.2803
O  0.7803  0.4685  0.2803
O  0.9941  0.2500  0.9402

The following is a r2SCAN calculation of crystalline HfPbO3 at its relaxed geometry, from the Materials Project database.

Cell lengths 5.8397, 11.6845, 8.1666 Å; angles 90.00, 90.00, 90.00 degrees
Fractional positions:
Hf  0.2425  0.1240  0.2496
Hf  0.2425  0.1240  0.7504
Hf  0.2575  0.6240  0.2496
Hf  0.2575  0.6240  0.7504
Hf  0.7425  0.3760  0.2496
Hf  0.7425  0.3760  0.7504
Hf  0.7575  0.8760  0.2496
Hf  0.7575  0.8760  0.7504
Pb  0.2061  0.3757  0.0000
Pb  0.2095  0.3702  0.5000
Pb  0.2905  0.8702  0.5000
Pb  0.2939  0.8757  0.0000
Pb  0.7061  0.1243  0.0000
Pb  0.7095  0.1298  0.5000
Pb  0.7905  0.6298  0.5000
Pb  0.7939  0.6243  0.0000
O  0.0000  0.0000  0.2306
O  0.0000  0.0000  0.7694
O  0.0000  0.5000  0.2089
O  0.0000  0.5000  0.7911
O  0.0259  0.2597  0.2771
O  0.0259  0.2597  0.7229
O  0.2080  0.5988  0.5000
O  0.2306  0.6529  0.0000
O  0.2694  0.1529  0.0000
O  0.2920  0.0988  0.5000
O  0.4741  0.7597  0.2771
O  0.4741  0.7597  0.7229
O  0.5000  0.0000  0.2089
O  0.5000  0.0000  0.7911
O  0.5000  0.5000  0.2306
O  0.5000  0.5000  0.7694
O  0.5259  0.2403  0.2771
O  0.5259  0.2403  0.7229
O  0.7080  0.9012  0.5000
O  0.7306  0.8471  0.0000
O  0.7694  0.3471  0.0000
O  0.7920  0.4012  0.5000
O  0.9741  0.7403  0.2771
O  0.9741  0.7403  0.7229

no.,calculated formation energy (eV per atom),VASP energy (eV per atom),total magnetization (μB/atom)
1,-3.1900,-15.66,0.000
2,-3.1843,-15.65,0.000
3,-2.8289,-26.70,0.000
4,-2.8352,-26.71,0.000